## Be3Ru (PBE-GGA)

Data for a relaxed structure of Be3Ru.

E_form in eV/atom: -0.324
Electronic total energy in eV per atom: -5.447
Mass density in g/cm3: 5.68
Crystal system: hexagonal

a = 4.7999 Å, b = 4.7999 Å, c = 3.7519 Å
α = 90.00°, β = 90.00°, γ = 120.00°
Space group P6_3/mmc (No. 194)
One atom of each set of equivalent atoms:
Be: 0.1607 0.3214 0.2500
Ru: 0.3333 0.6667 0.7500